No. 1
## Li8Fe7O15 (GGA+U)

Data for crystalline Li8Fe7O15 at its relaxed geometry.

Computed properties:
ΔE to the lowest computed polymorph in eV/atom: 0.000

Cell and atoms, written as extended XYZ:
```
30
Lattice="10.715 -1.504 0.000 10.715 1.504 0.000 -1.508 0.000 8.412" Properties=species:S:1:pos:R:3 pbc="T T T"
Li 0.362 0.000 1.970
Li 1.072 0.000 5.861
Li 3.298 0.000 1.446
Li 4.084 0.000 5.292
Li 15.838 0.000 3.121
Li 16.623 0.000 6.967
Li 18.850 0.000 2.551
Li 19.560 0.000 6.443
Fe 6.260 0.000 0.967
Fe 6.928 0.000 4.808
Fe 9.227 0.000 0.288
Fe 9.961 0.000 4.206
Fe 10.695 0.000 8.125
Fe 12.994 0.000 3.605
Fe 13.661 0.000 7.445
O 0.000 0.000 0.000
O 0.680 0.000 3.923
O 1.430 0.000 7.855
O 3.535 0.000 3.381
O 4.303 0.000 7.369
O 6.644 0.000 2.829
O 7.374 0.000 6.775
O 9.592 0.000 2.225
O 10.330 0.000 6.187
O 12.548 0.000 1.637
O 13.278 0.000 5.583
O 15.619 0.000 1.044
O 16.387 0.000 5.032
O 18.492 0.000 0.558
O 19.242 0.000 4.489
```

No. 2
## MgV2Co2O8 (GGA+U)

Data for crystalline MgV2Co2O8 at its relaxed geometry.

Computed properties:
ΔE to the lowest computed polymorph in eV/atom: 0.218

Cell and atoms, written as extended XYZ:
```
13
Lattice="4.454 -2.849 0.000 4.454 2.849 0.000 -0.500 0.000 6.299" Properties=species:S:1:pos:R:3 pbc="T T T"
Mg 0.000 0.000 0.000
V 1.130 0.000 4.402
V 7.277 0.000 1.897
Co 4.454 0.000 0.000
Co 4.204 0.000 3.149
O 4.017 1.500 1.549
O 2.169 0.000 3.071
O 4.390 1.500 4.750
O 1.994 0.000 5.868
O 6.413 0.000 0.431
O 4.017 -1.500 1.549
O 6.238 0.000 3.228
O 4.390 -1.500 4.750
```

No. 3
## K2MnSe2O6 (GGA+U)

Data for crystalline K2MnSe2O6 at its relaxed geometry.

Cell and atoms, written as extended XYZ:
```
44
Lattice="-5.287 -4.755 0.855 0.028 -2.359 8.854 -7.280 8.508 2.289" Properties=species:S:1:pos:R:3 pbc="T T T"
K -5.703 1.933 3.211
K -10.153 0.503 8.638
K -2.063 -2.321 2.066
K -6.513 -3.751 7.493
K -6.837 -0.538 8.787
K -6.027 5.145 4.505
K -3.197 -4.792 7.643
K -2.387 0.891 3.361
Mn -3.640 4.254 1.145
Mn -8.090 2.824 6.571
Mn 0.000 0.000 0.000
Mn -4.450 -1.430 5.427
Se -4.980 1.551 6.927
Se -9.457 2.480 3.501
Se -1.340 -2.703 5.783
Se -5.817 -1.774 2.356
Se -7.560 -0.157 5.071
Se -6.722 3.168 9.642
Se -3.920 -4.411 3.926
Se -3.082 -1.086 8.498
O -8.402 0.602 6.377
O -7.565 3.926 10.949
O -4.762 -3.652 5.233
O -3.925 -0.327 9.804
O -6.666 -1.428 5.831
O -5.828 1.897 10.403
O -10.306 2.826 6.976
O -2.188 -2.357 9.258
O -8.802 -0.985 4.197
O -7.964 2.340 8.768
O -5.162 -5.238 3.052
O -4.324 -1.913 7.623
O -3.738 2.379 7.802
O -8.215 3.308 4.375
O -0.098 -1.875 6.657
O -4.575 -0.946 3.230
O -4.137 0.793 5.621
O -8.615 1.722 2.194
O -7.777 5.046 6.765
O -4.975 -2.532 1.049
O -5.874 2.822 6.167
O -10.351 3.751 2.740
O -2.234 -1.432 5.022
O -6.711 -0.503 1.595
```

No. 4
## MgV2Mo2O10 (GGA+U)

Data for crystalline MgV2Mo2O10 at its relaxed geometry.

Cell and atoms, written as extended XYZ:
```
15
Lattice="6.611 0.000 0.000 0.000 6.611 0.000 0.000 0.000 5.793" Properties=species:S:1:pos:R:3 pbc="T T T"
Mg 0.000 0.000 0.000
V 0.000 3.306 4.688
V 3.306 0.000 1.105
Mo 0.000 0.000 2.896
Mo 3.306 3.306 2.896
O 0.000 3.306 0.533
O 0.035 5.266 4.307
O 1.345 0.035 1.485
O 1.849 3.268 3.938
O 3.268 4.762 1.854
O 3.306 0.000 5.259
O 3.343 1.849 1.854
O 4.762 3.343 3.938
O 5.266 6.576 1.485
O 6.576 1.345 4.307
```

No. 5
## Li6V3P8O29 (GGA+U)

Data for crystalline Li6V3P8O29 at its relaxed geometry.

Computed properties:
ΔE to the lowest computed polymorph in eV/atom: 0.008

Cell and atoms, written as extended XYZ:
```
92
Lattice="9.799 0.000 0.000 4.880 8.502 0.000 0.025 0.127 14.011" Properties=species:S:1:pos:R:3 pbc="T T T"
Li 0.000 0.000 0.000
Li 2.777 4.862 6.966
Li 3.525 3.794 13.989
Li 1.473 0.092 6.991
Li 5.585 5.736 4.532
Li 2.851 0.977 12.279
Li 8.408 5.010 13.950
Li 7.803 3.659 7.021
Li 9.879 5.698 5.292
Li 11.199 5.798 12.266
Li 10.083 2.827 13.038
Li 10.616 2.497 6.071
V 7.765 7.751 9.612
V 5.039 2.849 2.651
V 8.367 6.594 2.600
V 6.246 2.904 9.645
V 13.242 7.684 2.630
V 12.691 6.653 9.593
P 12.519 4.769 3.882
P 1.367 0.205 3.922
P 3.386 3.687 10.928
P 3.312 2.224 8.345
P 2.687 0.956 1.342
P 5.595 5.708 0.941
P 5.649 5.732 7.915
P 10.502 8.604 11.280
P 10.505 8.515 4.291
P 8.568 4.861 10.883
P 7.909 3.647 3.983
P 9.868 5.625 8.324
P 7.966 2.186 1.372
P 11.202 5.524 1.298
P 8.663 1.055 8.376
P 9.872 0.274 10.978
O 3.591 6.053 3.730
O 4.917 7.006 1.521
O 4.174 5.655 8.457
O 2.666 2.957 7.208
O 2.720 2.858 9.726
O 1.777 1.130 2.661
O 1.756 0.905 5.189
O 1.802 0.950 0.113
O 2.977 2.994 12.210
O 6.490 8.564 10.867
O 3.660 3.567 3.861
O 4.828 4.465 1.522
O 6.306 7.051 8.435
O 5.646 5.856 13.462
O 5.647 5.702 6.405
O 3.641 2.161 1.334
O 2.814 0.746 8.367
O 6.936 7.310 3.740
O 4.904 3.755 10.729
O 4.839 2.282 8.429
O 8.342 8.133 1.482
O 7.073 5.655 1.528
O 6.440 4.502 8.480
O 4.147 0.203 10.725
O 6.365 3.790 3.759
O 4.953 1.279 3.651
O 7.830 6.211 10.704
O 6.429 2.256 1.456
O 9.145 6.956 8.508
O 7.601 3.695 10.848
O 10.469 8.615 12.767
O 6.353 1.340 10.612
O 8.508 5.072 3.890
O 9.760 7.246 3.693
O 10.514 8.430 5.765
O 9.675 5.719 1.318
O 7.656 2.212 8.351
O 8.312 3.000 5.267
O 9.426 4.851 12.139
O 9.449 4.864 7.088
O 8.563 2.986 0.249
O 9.565 4.704 9.618
O 8.521 2.807 2.766
O 11.191 7.313 10.709
O 11.934 8.478 3.631
O 11.959 6.846 1.447
O 8.475 0.735 1.342
O 11.409 5.818 8.331
O 12.805 8.194 8.502
O 9.481 1.244 9.762
O 11.539 4.628 2.608
O 11.623 4.756 0.060
O 11.655 4.821 5.123
O 9.648 1.133 7.250
O 9.578 0.998 12.262
O 12.574 5.117 10.861
O 14.542 8.483 3.834
O 13.999 7.451 10.772
```

No. 6
## Gd2Mn3Sb3O14 (GGA+U)

Data for crystalline Gd2Mn3Sb3O14 at its relaxed geometry.

Cell and atoms, written as extended XYZ:
```
22
Lattice="6.172 -3.703 0.000 6.172 3.703 0.000 -4.020 0.000 5.928" Properties=species:S:1:pos:R:3 pbc="T T T"
Gd 3.086 1.852 0.000
Gd 3.086 -1.852 0.000
Mn 0.000 0.000 0.000
Mn -2.010 0.000 2.964
Mn 4.163 0.000 2.964
Sb 1.076 1.852 2.964
Sb 1.076 -1.852 2.964
Sb 6.172 0.000 0.000
O -2.087 0.000 5.123
O 0.409 0.000 2.506
O 1.295 1.497 4.922
O 2.942 1.477 2.461
O 4.472 0.000 0.977
O 7.030 1.497 1.006
O 5.383 1.477 3.466
O 2.942 -1.477 2.461
O 1.295 -1.497 4.922
O 3.853 0.000 4.950
O 5.383 -1.477 3.466
O 7.030 -1.497 1.006
O 7.916 0.000 3.421
O 10.412 0.000 0.805
```

No. 7
## Li3V4P2O8F9 (GGA+U)

Data for crystalline Li3V4P2O8F9 at its relaxed geometry.

Cell and atoms, written as extended XYZ:
```
52
Lattice="7.046 0.000 0.000 0.000 14.590 0.000 -1.858 0.000 7.184" Properties=species:S:1:pos:R:3 pbc="T T T"
Li 0.027 3.648 0.428
Li 0.875 0.740 1.630
Li 0.875 6.555 1.630
Li 4.313 8.035 5.555
Li 4.313 13.850 5.555
Li 5.162 10.943 6.756
V -0.785 10.943 4.028
V 0.682 1.743 5.921
V 0.682 5.553 5.921
V 2.565 3.648 3.227
V 2.624 10.943 3.957
V 4.506 9.038 1.263
V 4.506 12.848 1.263
V 5.973 3.648 3.156
P 0.887 8.755 5.732
P 0.887 13.131 5.732
P 4.302 1.460 1.453
P 4.302 5.835 1.453
O -0.422 9.566 5.434
O -0.422 12.319 5.434
O 0.706 7.353 5.113
O 0.706 14.532 5.113
O 2.948 8.695 0.074
O 2.948 13.190 0.074
O 2.150 9.417 5.103
O 2.150 12.469 5.103
O 3.038 2.122 2.082
O 3.038 5.174 2.082
O 2.240 1.400 7.111
O 2.240 5.895 7.111
O 4.482 0.058 2.072
O 4.482 7.237 2.072
O 5.610 2.271 1.750
O 5.610 5.024 1.750
F -0.614 2.251 4.458
F -0.614 5.044 4.458
F -0.868 1.286 7.099
F -0.868 6.009 7.099
F 0.760 3.648 2.255
F 0.904 10.943 3.023
F 0.332 3.648 6.612
F 2.026 2.312 4.577
F 2.026 4.983 4.577
F 3.162 9.608 2.608
F 3.162 12.278 2.608
F 4.857 10.943 0.573
F 4.284 3.648 4.161
F 4.429 10.943 4.930
F 6.057 8.581 0.085
F 6.057 13.304 0.085
F 5.802 9.547 2.726
F 5.802 12.339 2.726
```

No. 8
## YMn3F15 (GGA+U)

Data for crystalline YMn3F15 at its relaxed geometry.

Cell and atoms, written as extended XYZ:
```
38
Lattice="6.084 0.000 0.000 0.000 11.605 0.000 -2.315 0.000 8.871" Properties=species:S:1:pos:R:3 pbc="T T T"
Y -0.400 2.901 2.166
Y 4.169 8.704 6.705
Mn 1.418 5.819 5.904
Mn 1.418 11.588 5.904
Mn 3.042 0.000 0.000
Mn 3.042 5.802 0.000
Mn 2.352 0.017 2.966
Mn 2.352 5.785 2.966
F 0.252 8.704 2.400
F -1.317 8.704 8.640
F -0.405 8.704 5.343
F 0.028 0.974 5.513
F 0.028 4.828 5.513
F -0.712 1.011 8.575
F -0.712 4.792 8.575
F 0.888 1.169 2.558
F 0.888 4.634 2.558
F 0.327 6.832 7.297
F 0.327 10.575 7.297
F 1.232 6.784 4.224
F 1.232 10.623 4.224
F 2.052 6.769 1.298
F 2.052 10.638 1.298
F 1.717 0.967 7.573
F 1.717 4.835 7.573
F 2.537 0.981 4.647
F 2.537 4.821 4.647
F 3.442 1.030 1.574
F 3.442 4.773 1.574
F 2.881 6.971 6.313
F 2.881 10.436 6.313
F 4.481 6.813 0.296
F 4.481 10.594 0.296
F 3.741 6.777 3.358
F 3.741 10.630 3.358
F 4.175 2.901 3.528
F 5.087 2.901 0.231
F 3.518 2.901 6.470
```

Let's list uncorrected energy in order: -0.219 -0.244 -0.206 -0.261 -0.258 -0.295 -0.238 -0.194 hartree per atom.